Material: Ba2SrI6
Method: DFT, PBE
State: optimized geometry

Output
Relative energy among the computed polymorphs in meV/atom: 7
Energy in eV per atom: -3.38
Energy of formation from the pure elements in eV per atom: -2.0000

a b c (Å): 7.794 28.695 8.679
angles (deg): 90.00 90.00 90.00
Fractional coordinates of all 36 atoms:
Ba  0.000  0.050  0.250
Ba  0.000  0.284  0.750
Ba  0.000  0.716  0.250
Ba  0.000  0.950  0.750
Ba  0.500  0.216  0.250
Ba  0.500  0.450  0.750
Ba  0.500  0.550  0.250
Ba  0.500  0.784  0.750
Sr  0.000  0.383  0.250
Sr  0.000  0.617  0.750
Sr  0.500  0.117  0.750
Sr  0.500  0.883  0.250
I  0.232  0.372  0.565
I  0.232  0.628  0.065
I  0.236  0.300  0.085
I  0.236  0.700  0.585
I  0.244  0.039  0.584
I  0.244  0.961  0.084
I  0.256  0.461  0.084
I  0.256  0.539  0.584
I  0.264  0.200  0.585
I  0.264  0.800  0.085
I  0.268  0.128  0.065
I  0.268  0.872  0.565
I  0.732  0.128  0.435
I  0.732  0.872  0.935
I  0.736  0.200  0.915
I  0.736  0.800  0.415
I  0.744  0.461  0.416
I  0.744  0.539  0.916
I  0.756  0.039  0.916
I  0.756  0.961  0.416
I  0.764  0.300  0.415
I  0.764  0.700  0.915
I  0.768  0.372  0.935
I  0.768  0.628  0.435